Entry 1:
First-principles (GGA-PBE) data for an optimized crystal structure of Li3AlN2, as listed in the Materials Project database.

The structure in CIF format:
```
data_Li3AlN2
_symmetry_space_group_name_H-M 'I a -3'
_symmetry_Int_Tables_number 206
_symmetry_space_group_name_Hall '-I 2b 2c 3'
_cell_length_a 9.5207
_cell_length_b 9.5207
_cell_length_c 9.5207
_cell_angle_alpha 90.00
_cell_angle_beta 90.00
_cell_angle_gamma 90.00
loop_
_atom_site_label
_atom_site_type_symbol
_atom_site_fract_x
_atom_site_fract_y
_atom_site_fract_z
_atom_site_occupancy
Li1 Li 0.1107 0.1520 0.3755 1
Al1 Al 0.1151 0.1151 0.1151 1
N1 N 0.0000 0.0000 0.0000 1
N2 N 0.0000 0.2500 0.2161 1
```

* DFT total energy: -0.3825 Ry/atom

---

Entry 2:
First-principles (GGA-PBE) data for an optimized crystal structure of LiAl3Si9N14O2, as listed in the Materials Project database.

The structure in CIF format:
```
data_LiAl3Si9N14O2
_symmetry_space_group_name_H-M 'P 1'
_symmetry_Int_Tables_number 1
_cell_length_a 5.7119
_cell_length_b 7.8651
_cell_length_c 7.8769
_cell_angle_alpha 60.37
_cell_angle_beta 89.77
_cell_angle_gamma 89.87
loop_
_symmetry_equiv_pos_as_xyz
'x,y,z'
loop_
_atom_site_label
_atom_site_type_symbol
_atom_site_fract_x
_atom_site_fract_y
_atom_site_fract_z
_atom_site_occupancy
Li1 Li 0.0000 0.0000 0.0000 1
Al1 Al 0.0622 0.2443 0.5712 1
Al2 Al 0.2675 0.4230 0.8288 1
Al3 Al 0.5668 0.0908 0.1607 1
Si1 Si 0.0557 0.1801 0.2347 1
Si2 Si 0.0638 0.5789 0.1763 1
Si3 Si 0.2629 0.7623 0.4035 1
Si4 Si 0.2670 0.8391 0.7443 1
Si5 Si 0.5617 0.7517 0.0897 1
Si6 Si 0.5734 0.1505 0.7424 1
Si7 Si 0.7622 0.5842 0.4944 1
Si8 Si 0.7764 0.4999 0.9153 1
Si9 Si 0.7757 0.9176 0.5850 1
N1 N 0.0058 0.3362 0.9836 1
N2 N 0.0163 0.9771 0.6818 1
N3 N 0.0203 0.6606 0.3472 1
N4 N 0.1371 0.3384 0.3152 1
N5 N 0.2664 0.0137 0.2544 1
N6 N 0.2699 0.6820 0.6502 1
N7 N 0.2867 0.7192 0.0051 1
N8 N 0.5202 0.9835 0.6636 1
N9 N 0.5221 0.6829 0.3380 1
N10 N 0.6365 0.0002 0.9867 1
N11 N 0.7681 0.6642 0.6666 1
N12 N 0.7760 0.3313 0.6175 1
N13 N 0.7891 0.6180 0.0544 1
N14 N 0.7979 0.0537 0.3348 1
O1 O 0.3039 0.2639 0.7205 1
O2 O 0.5312 0.3580 0.9773 1
```

* size of the total moment: 0.00 μB per formula unit
* DFT total energy: -0.5748 Ry/atom